(1)
Mn4Cu3BiO12: relaxed, PBE with a Hubbard U.

Computed properties:
Crystal system: triclinic
Total magnetization: 0.653 μB per atom
Calculated volume: 207.3 Å³ per cell
E (MP2020): -7.15 eV/atom
Offset from the most stable computed form: 7 meV per atom

a = 6.4273 Å, b = 6.4358 Å, c = 6.4900 Å
α = 106.48°, β = 111.32°, γ = 110.23°
Atoms (fractional coordinates):
Mn1 0.0000 0.0000 0.0000
Mn2 0.0000 0.5000 0.5000
Mn3 0.5000 0.0000 0.5000
Mn4 0.5000 0.5000 0.0000
Cu1 0.0000 0.0000 0.5000
Cu2 0.0000 0.5000 0.0000
Cu3 0.5000 0.0000 0.0000
Bi1 0.5000 0.5000 0.5000
O1 0.0134 0.2002 0.3393
O2 0.1958 0.3290 0.0245
O3 0.1969 0.6671 0.3617
O4 0.3203 0.6279 0.8022
O5 0.3264 0.0220 0.1983
O6 0.3596 0.1690 0.6556
O7 0.6404 0.8310 0.3444
O8 0.6736 0.9780 0.8017
O9 0.6797 0.3721 0.1978
O10 0.8031 0.3329 0.6383
O11 0.8042 0.6710 0.9755
O12 0.9866 0.7998 0.6607

---

(2)
V2Cu2BiO8: relaxed, PBE with a Hubbard U.

Computed properties:
Crystal system: triclinic
Total magnetization: 0.130 μB per atom
Calculated volume: 148.6 Å³ per cell
E (MP2020): -7.02 eV/atom

a = 3.1095 Å, b = 7.0632 Å, c = 7.0943 Å
α = 86.27°, β = 77.61°, γ = 77.51°
Atoms (fractional coordinates):
V1 0.0000 0.0000 0.0000
V2 0.4777 0.3421 0.7008
Cu1 0.2887 0.0463 0.3753
Cu2 0.8081 0.7152 0.6650
Bi1 0.6905 0.5238 0.1892
O1 0.0911 0.2387 0.5777
O2 0.1699 0.8298 0.8170
O3 0.4638 0.5614 0.5240
O4 0.4720 0.1562 0.8999
O5 0.4945 0.8687 0.1427
O6 0.7954 0.1863 0.2301
O7 0.8014 0.9103 0.4817
O8 0.8381 0.4857 0.8437

---

(3)
VCu2BiO6: relaxed, PBE with a Hubbard U.

Computed properties:
Crystal system: monoclinic
Total magnetization: 0.133 μB per atom
Calculated volume: 796.4 Å³ per cell
E (MP2020): -6.68 eV/atom

a = 9.2118 Å, b = 9.2118 Å, c = 13.7518 Å
α = 114.91°, β = 114.91°, γ = 50.46°
Atoms (fractional coordinates):
V1 0.0425 0.0425 0.2329
V2 0.3154 0.3154 0.1231
V3 0.3465 0.3465 0.5384
V4 0.6535 0.6535 0.4616
V5 0.6846 0.6846 0.8769
V6 0.9575 0.9575 0.7671
Cu1 0.0365 0.4391 0.2979
Cu2 0.0784 0.7181 0.9790
Cu3 0.2610 0.6312 0.3642
Cu4 0.2819 0.9216 0.0210
Cu5 0.3688 0.7390 0.6358
Cu6 0.4391 0.0365 0.2979
Cu7 0.5609 0.9635 0.7021
Cu8 0.6312 0.2610 0.3642
Cu9 0.7181 0.0784 0.9790
Cu10 0.7390 0.3688 0.6358
Cu11 0.9216 0.2819 0.0210
Cu12 0.9635 0.5609 0.7021
Bi1 0.1207 0.1207 0.5323
Bi2 0.2154 0.2154 0.8381
Bi3 0.4364 0.4364 0.8434
Bi4 0.5636 0.5636 0.1566
Bi5 0.7846 0.7846 0.1619
Bi6 0.8793 0.8793 0.4677
O1 0.0043 0.6797 0.3138
O2 0.0278 0.0278 0.9135
O3 0.1260 0.4805 0.4560
O4 0.1497 0.5082 0.8441
O5 0.1564 0.8014 0.7131
O6 0.1632 0.1632 0.2713
O7 0.1687 0.5264 0.0803
O8 0.1724 0.8276 0.5000
O9 0.1936 0.1936 0.0630
O10 0.1986 0.8436 0.2869
O11 0.3166 0.3166 0.6456
O12 0.3203 0.9957 0.6862
O13 0.3265 0.6735 0.0000
O14 0.3662 0.3662 0.2708
O15 0.4663 0.4663 0.5898
O16 0.4736 0.8313 0.9197
O17 0.4805 0.1260 0.4560
O18 0.4918 0.8503 0.1559
O19 0.5082 0.1497 0.8441
O20 0.5195 0.8740 0.5440
O21 0.5264 0.1687 0.0803
O22 0.5337 0.5337 0.4102
O23 0.6338 0.6338 0.7292
O24 0.6735 0.3265 0.0000
O25 0.6797 0.0043 0.3138
O26 0.6834 0.6834 0.3544
O27 0.8014 0.1564 0.7131
O28 0.8064 0.8064 0.9370
O29 0.8276 0.1724 0.5000
O30 0.8313 0.4736 0.9197
O31 0.8368 0.8368 0.7287
O32 0.8436 0.1986 0.2869
O33 0.8503 0.4918 0.1559
O34 0.8740 0.5195 0.5440
O35 0.9722 0.9722 0.0865
O36 0.9957 0.3203 0.6862

---

(4)
VCu2BiO6: relaxed, PBE with a Hubbard U.

Computed properties:
Crystal system: monoclinic
Total magnetization: 0.008 μB per atom
Calculated volume: 1581.8 Å³ per cell
E (MP2020): -6.69 eV/atom

a = 13.6854 Å, b = 7.8896 Å, c = 16.4786 Å
α = 90.00°, β = 117.25°, γ = 90.00°
Atoms (fractional coordinates):
V1 0.0381 0.0041 0.3466
V2 0.0381 0.4959 0.8466
V3 0.2705 0.5218 0.4592
V4 0.2705 0.9782 0.9592
V5 0.3755 0.0216 0.6842
V6 0.3755 0.4784 0.1842
V7 0.6245 0.5216 0.8158
V8 0.6245 0.9784 0.3158
V9 0.7295 0.0218 0.0408
V10 0.7295 0.4782 0.5408
V11 0.9619 0.5041 0.1534
V12 0.9619 0.9959 0.6534
Cu1 0.1320 0.1885 0.5562
Cu2 0.1320 0.3115 0.0562
Cu3 0.1395 0.6847 0.0517
Cu4 0.1395 0.8153 0.5517
Cu5 0.1984 0.2076 0.7671
Cu6 0.1984 0.2924 0.2671
Cu7 0.2063 0.6966 0.2599
Cu8 0.2063 0.8034 0.7599
Cu9 0.4741 0.1834 0.8980
Cu10 0.4741 0.3166 0.3980
Cu11 0.4800 0.6803 0.3959
Cu12 0.4800 0.8197 0.8959
Cu13 0.5200 0.1803 0.1041
Cu14 0.5200 0.3197 0.6041
Cu15 0.5259 0.6834 0.6020
Cu16 0.5259 0.8166 0.1020
Cu17 0.7937 0.1966 0.2401
Cu18 0.7937 0.3034 0.7401
Cu19 0.8016 0.7076 0.7329
Cu20 0.8016 0.7924 0.2329
Cu21 0.8605 0.1847 0.4483
Cu22 0.8605 0.3153 0.9483
Cu23 0.8680 0.6885 0.9438
Cu24 0.8680 0.8115 0.4438
Bi1 0.0318 0.5139 0.6220
Bi2 0.0318 0.9861 0.1220
Bi3 0.3385 0.0158 0.2129
Bi4 0.3385 0.4842 0.7129
Bi5 0.3431 0.5147 0.9390
Bi6 0.3431 0.9853 0.4390
Bi7 0.6569 0.0147 0.5610
Bi8 0.6569 0.4853 0.0610
Bi9 0.6615 0.5158 0.2871
Bi10 0.6615 0.9842 0.7871
Bi11 0.9682 0.0139 0.8780
Bi12 0.9682 0.4861 0.3780
O1 0.0053 0.6745 0.4979
O2 0.0053 0.8255 0.9979
O3 0.0416 0.1736 0.6991
O4 0.0416 0.3264 0.1991
O5 0.0465 0.6802 0.1951
O6 0.0465 0.8198 0.6951
O7 0.0895 0.0062 0.4671
O8 0.0895 0.4938 0.9671
O9 0.1456 0.0112 0.3159
O10 0.1456 0.4888 0.8159
O11 0.1821 0.1621 0.1608
O12 0.1821 0.3379 0.6608
O13 0.1882 0.6639 0.6553
O14 0.1882 0.8361 0.1553
O15 0.2026 0.1296 0.9881
O16 0.2026 0.3704 0.4881
O17 0.2289 0.0014 0.6344
O18 0.2289 0.4986 0.1344
O19 0.2301 0.9999 0.8382
O20 0.2301 0.5001 0.3382
O21 0.2335 0.7205 0.4763
O22 0.2335 0.7795 0.9763
O23 0.3417 0.1764 0.3292
O24 0.3417 0.3236 0.8292
O25 0.3471 0.6794 0.8287
O26 0.3471 0.8206 0.3287
O27 0.4051 0.2200 0.6572
O28 0.4051 0.2800 0.1572
O29 0.4156 0.5037 0.5298
O30 0.4156 0.9963 0.0298
O31 0.4328 0.6293 0.1456
O32 0.4328 0.8707 0.6456
O33 0.4345 0.0056 0.8056
O34 0.4345 0.4944 0.3056
O35 0.4970 0.1754 0.5018
O36 0.4970 0.3246 0.0018
O37 0.5030 0.6754 0.9982
O38 0.5030 0.8246 0.4982
O39 0.5655 0.5056 0.6944
O40 0.5655 0.9944 0.1944
O41 0.5672 0.1293 0.3544
O42 0.5672 0.3707 0.8544
O43 0.5844 0.0037 0.9702
O44 0.5844 0.4963 0.4702
O45 0.5949 0.7200 0.8428
O46 0.5949 0.7800 0.3428
O47 0.6529 0.1794 0.6713
O48 0.6529 0.3206 0.1713
O49 0.6583 0.6764 0.1708
O50 0.6583 0.8236 0.6708
O51 0.7665 0.2205 0.0237
O52 0.7665 0.2795 0.5237
O53 0.7699 0.0001 0.1618
O54 0.7699 0.4999 0.6618
O55 0.7711 0.5014 0.8656
O56 0.7711 0.9986 0.3656
O57 0.7974 0.6296 0.5119
O58 0.7974 0.8704 0.0119
O59 0.8118 0.1639 0.8447
O60 0.8118 0.3361 0.3447
O61 0.8179 0.6621 0.3392
O62 0.8179 0.8379 0.8392
O63 0.8544 0.5112 0.1841
O64 0.8544 0.9888 0.6841
O65 0.9105 0.5062 0.0329
O66 0.9105 0.9938 0.5329
O67 0.9535 0.1802 0.3049
O68 0.9535 0.3198 0.8049
O69 0.9584 0.6736 0.8009
O70 0.9584 0.8264 0.3009
O71 0.9947 0.1745 0.0021
O72 0.9947 0.3255 0.5021

---

(5)
VCuBi2O7: relaxed, PBE with a Hubbard U.

Computed properties:
Crystal system: triclinic
Total magnetization: 0.000 μB per atom
Calculated volume: 312.2 Å³ per cell
E (MP2020): -6.77 eV/atom

a = 6.0718 Å, b = 7.2533 Å, c = 7.8377 Å
α = 89.88°, β = 72.58°, γ = 72.28°
Atoms (fractional coordinates):
V1 0.1023 0.2235 0.0730
V2 0.8977 0.7765 0.9270
Cu1 0.0000 0.0000 0.5000
Cu2 0.0000 0.5000 0.5000
Bi1 0.4723 0.6319 0.2938
Bi2 0.4810 0.8788 0.7230
Bi3 0.5190 0.1212 0.2770
Bi4 0.5277 0.3681 0.7062
O1 0.0512 0.7370 0.4286
O2 0.2208 0.1960 0.8349
O3 0.2223 0.6976 0.8312
O4 0.2301 0.3761 0.1479
O5 0.2324 0.0006 0.1386
O6 0.3277 0.9223 0.4820
O7 0.3345 0.4119 0.4845
O8 0.6655 0.5881 0.5155
O9 0.6723 0.0777 0.5180
O10 0.7676 0.9994 0.8614
O11 0.7699 0.6239 0.8521
O12 0.7777 0.3024 0.1688
O13 0.7792 0.8040 0.1651
O14 0.9488 0.2630 0.5714

---

(6)
CuBiW2O8: relaxed, PBE with a Hubbard U.

Computed properties:
Crystal system: triclinic
Maximum piezoelectric response: 0.1 C/m²
Total magnetization: 0.000 μB per atom
Calculated volume: 167.8 Å³ per cell
E (MP2020): -7.99 eV/atom
Offset from the most stable computed form: 0 meV per atom

a = 5.1484 Å, b = 6.1217 Å, c = 6.2347 Å
α = 108.80°, β = 91.71°, γ = 113.45°
Atoms (fractional coordinates):
Cu1 0.0000 0.0000 0.0000
Bi1 0.5079 0.0040 0.5054
W1 0.2570 0.5195 0.8409
W2 0.7545 0.4873 0.1678
O1 0.0076 0.2761 0.5787
O2 0.0097 0.7329 0.4268
O3 0.0395 0.7052 0.9799
O4 0.4748 0.3131 0.8411
O5 0.4992 0.7517 0.7308
O6 0.5185 0.2576 0.2825
O7 0.5347 0.6925 0.1698
O8 0.9689 0.2997 0.0250

---

(7)
CuBiW2O8: relaxed, PBE with a Hubbard U.

Computed properties:
Crystal system: triclinic
Total magnetization: 0.000 μB per atom
Calculated volume: 168.9 Å³ per cell
E (MP2020): -7.98 eV/atom
Offset from the most stable computed form: 12 meV per atom

a = 5.1637 Å, b = 6.1193 Å, c = 6.2567 Å
α = 108.69°, β = 91.78°, γ = 113.44°
Atoms (fractional coordinates):
Cu1 0.0000 0.0000 0.0000
Bi1 0.5000 0.0000 0.5000
W1 0.2563 0.5188 0.8415
W2 0.7437 0.4812 0.1585
O1 0.0091 0.7328 0.4248
O2 0.0301 0.6996 0.9739
O3 0.4757 0.3138 0.8407
O4 0.4956 0.7515 0.7314
O5 0.5044 0.2485 0.2686
O6 0.5243 0.6862 0.1593
O7 0.9699 0.3004 0.0261
O8 0.9909 0.2672 0.5752

---

(8)
DyFe5Bi4O15: relaxed, PBE with a Hubbard U.

Computed properties:
Crystal system: triclinic
Total magnetization: 1.000 μB per atom
Calculated volume: 637.2 Å³ per cell
E (MP2020): -7.34 eV/atom

a = 5.6047 Å, b = 5.6951 Å, c = 20.2992 Å
α = 83.26°, β = 82.07°, γ = 90.00°
Atoms (fractional coordinates):
Dy1 0.0000 0.0000 0.0000
Dy2 0.3979 0.4063 0.1981
Fe1 0.0428 0.4899 0.9128
Fe2 0.1453 0.5941 0.7101
Fe3 0.2471 0.6941 0.5081
Fe4 0.3479 0.7908 0.3074
Fe5 0.4458 0.8954 0.1103
Fe6 0.5470 0.9957 0.9123
Fe7 0.6452 0.0935 0.7101
Fe8 0.7473 0.1951 0.5082
Fe9 0.8476 0.2909 0.3071
Fe10 0.9433 0.3971 0.1096
Bi1 0.0987 0.1056 0.8001
Bi2 0.2037 0.2091 0.5984
Bi3 0.3026 0.3021 0.3973
Bi4 0.4978 0.5009 0.0006
Bi5 0.6000 0.6043 0.7997
Bi6 0.6999 0.7093 0.5984
Bi7 0.8050 0.8039 0.3974
Bi8 0.9051 0.9014 0.1970
O1 0.0545 0.3773 0.5008
O2 0.0596 0.5372 0.3311
O3 0.1107 0.0372 0.3327
O4 0.1163 0.6002 0.6120
O5 0.1355 0.0692 0.0981
O6 0.1702 0.5010 0.8149
O7 0.2410 0.7487 0.9419
O8 0.2481 0.5831 0.1028
O9 0.3131 0.8049 0.2120
O10 0.3143 0.2443 0.9367
O11 0.3519 0.2847 0.7025
O12 0.3750 0.6938 0.4104
O13 0.4478 0.7838 0.7024
O14 0.4587 0.9426 0.5318
O15 0.5113 0.4425 0.5322
O16 0.5149 0.9952 0.8152
O17 0.5424 0.4653 0.2958
O18 0.5968 0.9058 0.0154
O19 0.6393 0.1546 0.1404
O20 0.6529 0.9755 0.3010
O21 0.7105 0.6463 0.1348
O22 0.7180 0.1994 0.4108
O23 0.7375 0.6725 0.9043
O24 0.7731 0.1001 0.6121
O25 0.8597 0.1721 0.9031
O26 0.8614 0.3373 0.7339
O27 0.9056 0.8378 0.7341
O28 0.9096 0.3981 0.0145
O29 0.9483 0.8781 0.5007
O30 0.9993 0.2959 0.2118

---

(9)
ErBiW2O9: relaxed, PBE with a Hubbard U.

Computed properties:
Crystal system: orthorhombic
Total magnetization: 0.000 μB per atom
Calculated volume: 736.5 Å³ per cell
E (MP2020): -8.56 eV/atom

a = 32.7128 Å, b = 5.7488 Å, c = 3.9163 Å
α = 90.00°, β = 90.00°, γ = 90.00°
Atoms (fractional coordinates):
Er1 0.1672 0.2500 0.2399
Er2 0.3328 0.7500 0.7399
Er3 0.6672 0.2500 0.2601
Er4 0.8328 0.7500 0.7601
Bi1 0.0267 0.2500 0.7732
Bi2 0.4733 0.7500 0.2732
Bi3 0.5267 0.2500 0.7268
Bi4 0.9733 0.7500 0.2268
W1 0.0800 0.7500 0.2629
W2 0.2066 0.7500 0.7684
W3 0.2934 0.2500 0.2684
W4 0.4200 0.2500 0.7629
W5 0.5800 0.7500 0.2371
W6 0.7066 0.7500 0.7316
W7 0.7934 0.2500 0.2316
W8 0.9200 0.2500 0.7371
O1 0.0294 0.5198 0.2442
O2 0.0294 0.9802 0.2442
O3 0.0733 0.7500 0.7486
O4 0.1143 0.9998 0.2429
O5 0.1143 0.5002 0.2429
O6 0.1787 0.0309 0.7379
O7 0.1787 0.4691 0.7379
O8 0.2023 0.7500 0.2479
O9 0.2382 0.2500 0.2359
O10 0.2618 0.7500 0.7359
O11 0.2977 0.2500 0.7479
O12 0.3213 0.5309 0.2379
O13 0.3213 0.9691 0.2379
O14 0.3857 0.0002 0.7429
O15 0.3857 0.4998 0.7429
O16 0.4267 0.2500 0.2486
O17 0.4706 0.0198 0.7442
O18 0.4706 0.4802 0.7442
O19 0.5294 0.5198 0.2558
O20 0.5294 0.9802 0.2558
O21 0.5733 0.7500 0.7514
O22 0.6143 0.9998 0.2571
O23 0.6143 0.5002 0.2571
O24 0.6787 0.0309 0.7621
O25 0.6787 0.4691 0.7621
O26 0.7023 0.7500 0.2521
O27 0.7382 0.2500 0.2641
O28 0.7618 0.7500 0.7641
O29 0.7977 0.2500 0.7521
O30 0.8213 0.5309 0.2621
O31 0.8213 0.9691 0.2621
O32 0.8857 0.0002 0.7571
O33 0.8857 0.4998 0.7571
O34 0.9267 0.2500 0.2514
O35 0.9706 0.0198 0.7558
O36 0.9706 0.4802 0.7558

---

- calculated volume of number 9 (ErBiW2O9)?
  736.5 Å³ per cell